A geometry-optimized Ca4TiMn3O10 structure. Source: the Materials Project database, functional PBE+U.

Calculated values
- Raw total energy: -7.32 eV per atom
- Energy of formation: -2818.0 meV/atom

Cell lengths 7.766, 7.834, 8.039 Å; angles 90.86, 90.29, 90.04 degrees
Space group P1 (No. 1)
Unique sites:
Ca1 0.000 0.000 0.000 x1
Ca2 0.001 0.467 0.988 x1
Ca3 0.029 0.485 0.516 x1
Ca4 0.046 0.989 0.581 x1
Ca5 0.551 0.990 0.581 x1
Ca6 0.566 0.477 0.974 x1
Ca7 0.567 0.012 0.003 x1
Ca8 0.570 0.496 0.540 x1
Ti1 0.283 0.239 0.278 x1
Ti2 0.297 0.808 0.305 x1
Mn1 0.295 0.746 0.820 x1
Mn2 0.300 0.249 0.805 x1
Mn3 0.779 0.734 0.270 x1
Mn4 0.795 0.239 0.754 x1
Mn5 0.795 0.733 0.786 x1
Mn6 0.801 0.231 0.267 x1
O1 0.045 0.779 0.780 x1
O2 0.048 0.214 0.785 x1
O3 0.067 0.254 0.201 x1
O4 0.088 0.742 0.391 x1
O5 0.272 0.500 0.865 x1
O6 0.289 0.831 0.084 x1
O7 0.300 0.032 0.399 x1
O8 0.308 0.405 0.434 x1
O9 0.331 0.993 0.775 x1
O10 0.418 0.247 0.097 x1
O11 0.513 0.748 0.379 x1
O12 0.542 0.705 0.755 x1
O13 0.544 0.272 0.734 x1
O14 0.767 0.977 0.792 x1
O15 0.774 0.267 0.016 x1
O16 0.784 0.986 0.209 x1
O17 0.788 0.481 0.337 x1
O18 0.790 0.675 0.029 x1
O19 0.809 0.170 0.504 x1
O20 0.828 0.497 0.723 x1

A geometry-optimized Cr6CdCu2O12 structure. Source: the Materials Project database, functional PBE+U.

Calculated values
- Raw total energy: -6.95 eV per atom
- Energy of formation: -1894.5 meV/atom

Cell lengths 6.111, 6.111, 25.335 Å; angles 90.00, 90.00, 90.00 degrees
Space group I-4m2 (No. 119)
Unique sites:
Cr1 0.000 0.247 0.123 x8
Cr2 0.000 0.250 0.792 x8
Cr3 0.000 0.253 0.460 x8
Cd1 0.000 0.000 0.335 x4
Cu1 0.000 0.000 0.000 x2
Cu2 0.000 0.500 0.250 x2
Cu3 0.000 0.500 0.582 x4
O1 0.000 0.218 0.540 x8
O2 0.000 0.222 0.873 x8
O3 0.000 0.223 0.204 x8
O4 0.000 0.277 0.042 x8
O5 0.000 0.287 0.713 x8
O6 0.000 0.291 0.383 x8

A geometry-optimized RbMg6WO8 structure. Source: the Materials Project database, functional PBE+U.

Calculated values
- Raw total energy: -5.60 eV per atom
- Energy of formation: -2274.4 meV/atom

Cell lengths 4.580, 4.580, 8.871 Å; angles 90.00, 90.00, 90.00 degrees
Space group P4/mmm (No. 123)
Unique sites:
Rb1 0.000 0.000 0.000 x1
Mg1 0.000 0.000 0.500 x1
Mg2 0.000 0.500 0.264 x4
Mg3 0.500 0.500 0.500 x1
W1 0.500 0.500 0.000 x1
O1 0.000 0.000 0.283 x2
O2 0.000 0.500 0.000 x2
O3 0.000 0.500 0.500 x2
O4 0.500 0.500 0.252 x2

A geometry-optimized FeO2 structure. Source: the Materials Project database, functional PBE+U.

Calculated values
- Raw total energy: -6.06 eV per atom
- Energy of formation: -1147.0 meV/atom

Cell lengths 3.045, 11.129, 3.897 Å; angles 90.00, 90.00, 90.00 degrees
Space group Cmcm (No. 63)
Unique sites:
Fe1 0.000 0.162 0.250 x4
O1 0.000 0.209 0.750 x4
O2 0.000 0.448 0.750 x4

A geometry-optimized Cs2WO4 structure. Source: the Materials Project database, functional PBE+U.

Calculated values
- Raw total energy: -6.16 eV per atom
- Energy of formation: -2255.8 meV/atom

Cell lengths 13.706, 6.701, 8.442 Å; angles 90.00, 116.07, 90.00 degrees
Space group C2/m (No. 12)
Unique sites:
Cs1 0.013 0.000 0.240 x4
Cs2 0.156 0.500 0.742 x4
W1 0.175 0.500 0.222 x4
O1 0.095 0.500 0.347 x4
O2 0.144 0.277 0.085 x8
O3 0.180 0.000 0.633 x4

A geometry-optimized Li3V3P8O29 structure. Source: the Materials Project database, functional PBE+U.

Calculated values
- Raw total energy: -7.05 eV per atom
- Energy of formation: -2522.2 meV/atom

Cell lengths 9.763, 9.766, 14.161 Å; angles 89.74, 89.94, 60.14 degrees
Space group P1 (No. 1)
Unique sites:
Li1 0.000 0.000 0.000 x1
Li2 0.007 0.583 0.496 x1
Li3 0.151 0.982 0.497 x1
Li4 0.219 0.641 0.062 x1
Li5 0.329 0.354 0.614 x1
Li6 0.565 0.576 0.002 x1
V1 0.230 0.239 0.817 x1
V2 0.241 0.102 0.301 x1
V3 0.670 0.238 0.311 x1
V4 0.672 0.672 0.805 x1
V5 0.797 0.675 0.304 x1
V6 0.801 0.105 0.803 x1
P1 0.007 0.985 0.215 x1
P2 0.010 0.582 0.716 x1
P3 0.149 0.450 0.217 x1
P4 0.150 0.991 0.715 x1
P5 0.322 0.892 0.897 x1
P6 0.324 0.352 0.399 x1
P7 0.463 0.756 0.400 x1
P8 0.464 0.361 0.899 x1
P9 0.547 0.583 0.217 x1
P10 0.550 0.444 0.715 x1
P11 0.563 0.009 0.689 x1
P12 0.571 0.007 0.188 x1
P13 0.898 0.336 0.929 x1
P14 0.909 0.335 0.427 x1
P15 0.922 0.897 0.398 x1
P16 0.928 0.756 0.898 x1
O1 0.010 0.904 0.481 x1
O2 0.019 0.904 0.123 x1
O3 0.024 0.872 0.302 x1
O4 0.025 0.675 0.983 x1
O5 0.026 0.678 0.802 x1
O6 0.047 0.341 0.885 x1
O7 0.058 0.188 0.383 x1
O8 0.141 0.150 0.740 x1
O9 0.148 0.016 0.227 x1
O10 0.154 0.288 0.228 x1
O11 0.155 0.413 0.724 x1
O12 0.223 0.927 0.622 x1
O13 0.228 0.888 0.978 x1
O14 0.229 0.467 0.133 x1
O15 0.231 0.468 0.312 x1
O16 0.238 0.424 0.489 x1
O17 0.250 0.871 0.799 x1
O18 0.320 0.929 0.394 x1
O19 0.324 0.051 0.887 x1
O20 0.326 0.324 0.892 x1
O21 0.332 0.193 0.378 x1
O22 0.415 0.156 0.730 x1
O23 0.423 0.002 0.232 x1
O24 0.438 0.678 0.304 x1
O25 0.441 0.465 0.805 x1
O26 0.451 0.458 0.983 x1
O27 0.469 0.671 0.487 x1
O28 0.471 0.654 0.125 x1
O29 0.472 0.433 0.628 x1
O30 0.493 0.327 0.394 x1
O31 0.495 0.753 0.897 x1
O32 0.569 0.007 0.585 x1
O33 0.570 0.153 0.234 x1
O34 0.572 0.002 0.083 x1
O35 0.573 0.856 0.736 x1
O36 0.580 0.412 0.229 x1
O37 0.582 0.584 0.724 x1
O38 0.617 0.762 0.378 x1
O39 0.621 0.205 0.886 x1
O40 0.707 0.581 0.232 x1
O41 0.712 0.011 0.735 x1
O42 0.712 0.289 0.734 x1
O43 0.719 0.856 0.233 x1
O44 0.747 0.485 0.888 x1
O45 0.762 0.051 0.381 x1
O46 0.763 0.329 0.381 x1
O47 0.772 0.752 0.884 x1
O48 0.851 0.141 0.230 x1
O49 0.856 0.572 0.737 x1
O50 0.891 0.931 0.893 x1
O51 0.895 0.754 0.397 x1
O52 0.902 0.332 0.034 x1
O53 0.904 0.488 0.387 x1
O54 0.908 0.183 0.887 x1
O55 0.912 0.328 0.532 x1
O56 0.975 0.584 0.227 x1
O57 0.980 0.015 0.728 x1
O58 0.998 0.657 0.623 x1